A geometry-optimized Tb2Ti2O7 structure, computed with GGA-PBE.

Lattice parameters (Å, degrees): 7.0134 7.0134 12.7320 90.00 90.00 90.00
With the nearest neighbours (Å) after each atom.
Atoms (fractional coordinates):
Tb1 0.8698 0.6400 0.1143  7 O 2.28-2.54
Tb2 0.1302 0.3600 0.6143  7 O 2.28-2.54
Tb3 0.6400 0.8698 0.8857  7 O 2.28-2.54
Tb4 0.3698 0.8600 0.6357  7 O 2.28-2.54
Tb5 0.6302 0.1400 0.1357  7 O 2.28-2.54
Tb6 0.3600 0.1302 0.3857  7 O 2.28-2.54
Tb7 0.8600 0.3698 0.3643  7 O 2.28-2.54
Tb8 0.1400 0.6302 0.8643  7 O 2.28-2.54
Ti1 0.8518 0.8997 0.3629  4 O 1.81-1.86
Ti2 0.6003 0.3518 0.6129  4 O 1.81-1.86
Ti3 0.3997 0.6482 0.1129  4 O 1.81-1.86
Ti4 0.3518 0.6003 0.3871  4 O 1.81-1.86
Ti5 0.8997 0.8518 0.6371  4 O 1.81-1.86
Ti6 0.1003 0.1482 0.1371  4 O 1.81-1.86
Ti7 0.1482 0.1003 0.8629  4 O 1.81-1.86
Ti8 0.6482 0.3997 0.8871  4 O 1.81-1.86
O1 0.6782 0.3218 0.7500  2 Ti 1.84
O2 0.4575 0.5747 0.8873  1 Ti 1.81
O3 0.4264 0.1661 0.5712  1 Ti 1.86
O4 0.5425 0.4253 0.3873  1 Ti 1.81
O5 0.8218 0.8218 0.5000  2 Ti 1.84
O6 0.1700 0.6371 0.0431  1 Ti 1.84
O7 0.8300 0.3629 0.5431  1 Ti 1.84
O8 0.6371 0.1700 0.9569  1 Ti 1.84
O9 0.5747 0.4575 0.1127  1 Ti 1.81
O10 0.0736 0.6661 0.6788  1 Ti 1.86
O11 0.5736 0.8339 0.0712  1 Ti 1.86
O12 0.3629 0.8300 0.4569  1 Ti 1.84
O13 0.3218 0.6782 0.2500  2 Ti 1.84
O14 0.1371 0.3300 0.7931  1 Ti 1.84
O15 0.3339 0.9264 0.8212  1 Ti 1.86
O16 0.0425 0.0747 0.3627  1 Ti 1.81
O17 0.6661 0.0736 0.3212  1 Ti 1.86
O18 0.9253 0.9575 0.1373  1 Ti 1.81
O19 0.8629 0.6700 0.2931  1 Ti 1.84
O20 0.4253 0.5425 0.6127  1 Ti 1.81
O21 0.9264 0.3339 0.1788  1 Ti 1.86
O22 0.1661 0.4264 0.4288  1 Ti 1.86
O23 0.6700 0.8629 0.7069  1 Ti 1.84
O24 0.9575 0.9253 0.8627  1 Ti 1.81
O25 0.1782 0.1782 0.0000  2 Ti 1.84
O26 0.8339 0.5736 0.9288  1 Ti 1.86
O27 0.0747 0.0425 0.6373  1 Ti 1.81
O28 0.3300 0.1371 0.2069  1 Ti 1.84

formation enthalpy at 0 K: -41.4 eV per formula unit
SG: No. 92
piezoelectric modulus e_max: 0.1 C/m²
total magnetic moment: 0.000 μB/atom
final energy: -96.33 eV/f.u.

A geometry-optimized Na2Cu4H5S4O20 structure, computed with GGA-PBE.

Lattice parameters (Å, degrees): 11.1735 6.3886 7.7451 87.75 63.31 53.93
With the nearest neighbours (Å) after each atom.
Atoms (fractional coordinates):
H1 0.5000 0.5000 0.0000  2 O 1.22
H2 0.2016 0.3012 0.8052  1 O 0.99
H3 0.7984 0.6988 0.1948  1 O 0.99
H4 0.2838 0.7086 0.2156  1 O 1.00
H5 0.7162 0.2914 0.7844  1 O 1.00
O1 0.6928 0.8094 0.7963  1 S 1.49
O2 0.0217 0.7811 0.2507  1 S 1.51
O3 0.2126 0.7917 0.4748  1 S 1.46
O4 0.1653 0.3337 0.9507  1 H 0.99
O5 0.0221 0.1679 0.2422  1 S 1.52
O6 0.3441 0.6521 0.0639  1 H 1.00
O7 0.8347 0.6663 0.0493  1 H 0.99
O8 0.4812 0.2173 0.7459  1 S 1.51
O9 0.9783 0.2189 0.7493  1 S 1.51
O10 0.1919 0.8089 0.7983  1 S 1.49
O11 0.9779 0.8321 0.7578  1 S 1.52
O12 0.8081 0.1911 0.2017  1 S 1.49
O13 0.5188 0.7827 0.2541  1 S 1.51
O14 0.2850 0.2100 0.5286  1 S 1.46
O15 0.5178 0.1737 0.2456  1 S 1.53
O16 0.4822 0.8263 0.7544  1 S 1.53
O17 0.6559 0.3479 0.9361  1 H 1.00
O18 0.7874 0.2083 0.5252  1 S 1.46
O19 0.3072 0.1906 0.2037  1 S 1.49
O20 0.7150 0.7900 0.4714  1 S 1.46
Na1 0.5000 0.5000 0.5000  8 O 2.51-2.78
Na2 0.0000 0.5000 0.5000  8 O 2.50-2.80
Cu1 0.2546 0.9965 0.9985  4 O 1.87-1.98
Cu2 0.7489 0.5036 0.0030  4 O 1.91-2.02
Cu3 0.7454 0.0035 0.0015  4 O 1.87-1.98
Cu4 0.2511 0.4964 0.9970  4 O 1.91-2.02
S1 0.0914 0.9126 0.6954  4 O 1.46-1.52
S2 0.5950 0.9103 0.6907  4 O 1.46-1.53
S3 0.4050 0.0897 0.3093  4 O 1.46-1.53
S4 0.9086 0.0874 0.3046  4 O 1.46-1.52

formation enthalpy at 0 K: -54.5 eV per formula unit
SG: No. 2
total magnetic moment: 0.039 μB/atom
final energy: -192.25 eV/f.u.

A geometry-optimized MgCrMoS4 structure, computed with GGA-PBE.

Lattice parameters (Å, degrees): 7.3731 7.3317 7.3308 59.73 59.81 59.81
With the nearest neighbours (Å) after each atom.
Atoms (fractional coordinates):
S1 0.7297 0.7411 0.7411  2 Cr 2.45, 1 Mg 2.48, 1 Mo 2.51
S2 0.7348 0.7461 0.2843  1 Cr 2.44, 1 Mg 2.45, 2 Mo 2.50
S3 0.7348 0.2843 0.7461  1 Cr 2.44, 1 Mg 2.45, 2 Mo 2.50
S4 0.2652 0.7157 0.2539  1 Cr 2.44, 1 Mg 2.45, 2 Mo 2.50
S5 0.2652 0.2539 0.7157  1 Cr 2.44, 1 Mg 2.45, 2 Mo 2.50
S6 0.2880 0.7411 0.7411  2 Cr 2.45, 1 Mg 2.48, 1 Mo 2.51
S7 0.7120 0.2589 0.2588  2 Cr 2.45, 1 Mg 2.48, 1 Mo 2.51
S8 0.2703 0.2589 0.2588  2 Cr 2.45, 1 Mg 2.48, 1 Mo 2.51
Mg1 0.1241 0.1259 0.1259  4 S 2.45-2.48
Mg2 0.8759 0.8741 0.8741  4 S 2.45-2.48
Cr1 0.5000 0.0000 0.5000  6 S 2.44-2.45
Cr2 0.5000 0.5000 0.0001  6 S 2.44-2.45
Mo1 0.5000 0.5000 0.5000  6 S 2.50-2.51
Mo2 0.0000 0.5000 0.5000  6 S 2.50-2.51

formation enthalpy at 0 K: -7.2 eV per formula unit
SG: No. 74
total magnetic moment: 0.857 μB/atom
final energy: -43.82 eV/f.u.